No. 1
The following is a PBE+U calculation of crystalline Li2Ti3V3O12 at its relaxed geometry, from Materials Project.

Lattice parameters (Å, degrees): 6.797 9.055 8.486 101.75 109.56 99.45
Element x y z (fractional)
Li1 0.250 0.750 0.500
Li2 0.750 0.250 0.500
Li3 0.000 0.000 0.000
Li4 0.500 0.500 0.000
Ti1 0.500 0.500 0.500
Ti2 0.000 0.000 0.500
Ti3 0.327 0.008 0.838
Ti4 0.827 0.508 0.838
Ti5 0.172 0.492 0.162
Ti6 0.673 0.992 0.162
V1 0.250 0.750 0.000
V2 0.911 0.747 0.666
V3 0.589 0.753 0.334
V4 0.750 0.250 0.000
V5 0.411 0.247 0.666
V6 0.089 0.253 0.334
O1 0.434 0.234 0.907
O2 0.934 0.734 0.907
O3 0.066 0.266 0.093
O4 0.566 0.766 0.093
O5 0.022 0.989 0.744
O6 0.522 0.489 0.744
O7 0.478 0.511 0.256
O8 0.978 0.011 0.256
O9 0.307 0.003 0.600
O10 0.807 0.503 0.600
O11 0.193 0.497 0.400
O12 0.693 0.997 0.400
O13 0.657 0.018 0.936
O14 0.157 0.518 0.936
O15 0.843 0.482 0.064
O16 0.343 0.982 0.064
O17 0.912 0.772 0.438
O18 0.412 0.272 0.438
O19 0.588 0.728 0.562
O20 0.088 0.228 0.562
O21 0.237 0.768 0.775
O22 0.737 0.268 0.775
O23 0.263 0.732 0.225
O24 0.763 0.232 0.225

Theoretical density (kg/m³): 3578
V (Å³ per cell): 466.3
Spin magnetization (μB per cell): 0.0
E_form (eV per formula unit): -57.4

No. 2
The following is a PBE+U calculation of crystalline MgMn6O4F8 at its relaxed geometry, from Materials Project.

Lattice parameters (Å, degrees): 5.295 8.107 6.002 95.78 100.02 83.64
Element x y z (fractional)
Mg1 0.504 0.184 0.180
Mn1 0.440 0.966 0.551
Mn2 0.633 0.659 0.154
Mn3 0.534 0.360 0.763
Mn4 0.957 0.664 0.672
Mn5 0.008 0.327 0.321
Mn6 0.998 0.971 0.999
O1 0.845 0.748 0.948
O2 0.659 0.751 0.485
O3 0.679 0.392 0.131
O4 0.345 0.232 0.471
F1 0.857 0.399 0.627
F2 0.861 0.095 0.304
F3 0.618 0.099 0.865
F4 0.312 0.582 0.846
F5 0.384 0.944 0.174
F6 0.099 0.565 0.386
F7 0.147 0.228 0.021
F8 0.133 0.908 0.687

Theoretical density (kg/m³): 3766
V (Å³ per cell): 251.3
Symmetry: P1, No. 1
Spin magnetization (μB per cell): 28.0
E_form (eV per formula unit): -49.6

No. 3
The following is a PBE+U calculation of crystalline KMnF3 at its relaxed geometry, from Materials Project.

Lattice parameters (Å, degrees): 6.007 6.033 8.498 90.00 90.00 90.00
Element x y z (fractional)
K1 0.991 0.002 0.250
K2 0.491 0.498 0.250
K3 0.509 0.502 0.750
K4 0.009 0.998 0.750
Mn1 0.000 0.500 0.000
Mn2 0.500 0.000 0.500
Mn3 0.500 0.000 0.000
Mn4 0.000 0.500 0.500
F1 0.735 0.265 0.477
F2 0.235 0.235 0.023
F3 0.765 0.765 0.523
F4 0.265 0.735 0.977
F5 0.265 0.735 0.523
F6 0.765 0.765 0.977
F7 0.235 0.235 0.477
F8 0.735 0.265 0.023
F9 0.503 0.957 0.250
F10 0.003 0.543 0.250
F11 0.997 0.457 0.750
F12 0.497 0.043 0.750

Theoretical density (kg/m³): 3257
V (Å³ per cell): 308.0
Symmetry: Pnma, No. 62
E_form (eV per formula unit): -15.1

No. 4
The following is a PBE+U calculation of crystalline MgMn6O6F6 at its relaxed geometry, from Materials Project.

Lattice parameters (Å, degrees): 5.236 7.662 5.973 95.45 100.57 84.45
Element x y z (fractional)
Mg1 0.475 0.811 0.813
Mn1 0.608 0.034 0.434
Mn2 0.476 0.610 0.243
Mn3 0.474 0.337 0.822
Mn4 0.979 0.663 0.672
Mn5 0.011 0.321 0.315
Mn6 0.006 0.997 0.000
O1 0.910 0.086 0.280
O2 0.638 0.765 0.531
O3 0.686 0.400 0.118
O4 0.319 0.578 0.849
O5 0.350 0.259 0.505
O6 0.101 0.895 0.721
F1 0.844 0.430 0.624
F2 0.827 0.772 0.001
F3 0.630 0.079 0.821
F4 0.383 0.890 0.139
F5 0.120 0.570 0.346
F6 0.178 0.220 0.994

Theoretical density (kg/m³): 4006
V (Å³ per cell): 233.8
Symmetry: P1, No. 1
Spin magnetization (μB per cell): 26.0
E_form (eV per formula unit): -46.5

No. 5
The following is a PBE+U calculation of crystalline CsCrCuF6 at its relaxed geometry, from Materials Project.

Lattice parameters (Å, degrees): 7.446 7.446 7.446 121.19 120.14 88.85
Element x y z (fractional)
Cs1 0.372 0.122 0.250
Cs2 0.628 0.878 0.750
Cr1 0.000 0.500 0.500
Cr2 0.500 0.500 0.000
Cu1 0.000 0.500 0.000
Cu2 0.000 0.000 0.500
F1 0.312 0.562 0.750
F2 0.933 0.183 0.750
F3 0.330 0.187 0.760
F4 0.927 0.570 0.740
F5 0.330 0.570 0.143
F6 0.927 0.187 0.357
F7 0.688 0.438 0.250
F8 0.067 0.817 0.250
F9 0.670 0.813 0.240
F10 0.073 0.430 0.260
F11 0.670 0.430 0.857
F12 0.073 0.813 0.643

Theoretical density (kg/m³): 4166
V (Å³ per cell): 288.9
Symmetry: Imma, No. 74
Spin magnetization (μB per cell): 8.0
E_form (eV per formula unit): -24.1

No. 6
The following is a PBE+U calculation of crystalline LiFe4P3O12 at its relaxed geometry, from Materials Project.

Lattice parameters (Å, degrees): 9.035 9.035 10.342 64.61 64.61 59.56
Element x y z (fractional)
Li1 0.993 0.491 0.033
Li2 0.491 0.993 0.533
Fe1 0.966 0.855 0.993
Fe2 0.352 0.188 0.992
Fe3 0.843 0.349 0.459
Fe4 0.465 0.694 0.490
Fe5 0.694 0.465 0.990
Fe6 0.855 0.966 0.493
Fe7 0.188 0.352 0.492
Fe8 0.349 0.843 0.959
P1 0.357 0.564 0.860
P2 0.855 0.718 0.360
P3 0.217 0.069 0.358
P4 0.718 0.855 0.860
P5 0.069 0.217 0.858
P6 0.564 0.357 0.360
O1 0.812 0.955 0.863
O2 0.455 0.367 0.860
O3 0.940 0.509 0.444
O4 0.878 0.731 0.201
O5 0.158 0.611 0.948
O6 0.873 0.316 0.854
O7 0.655 0.787 0.448
O8 0.380 0.687 0.702
O9 0.316 0.873 0.354
O10 0.443 0.601 0.946
O11 0.010 0.107 0.444
O12 0.955 0.812 0.363
O13 0.787 0.655 0.948
O14 0.731 0.878 0.701
O15 0.223 0.196 0.200
O16 0.287 0.109 0.447
O17 0.107 0.010 0.944
O18 0.509 0.940 0.944
O19 0.611 0.158 0.448
O20 0.196 0.223 0.700
O21 0.687 0.380 0.202
O22 0.367 0.455 0.360
O23 0.109 0.287 0.947
O24 0.601 0.443 0.446

Theoretical density (kg/m³): 2703
V (Å³ per cell): 632.9
Symmetry: Cc, No. 9
Spin magnetization (μB per cell): 32.0
E_form (eV per formula unit): -45.2

No. 7
The following is a PBE+U calculation of crystalline Li4V3P8O29 at its relaxed geometry, from Materials Project.

Lattice parameters (Å, degrees): 9.738 9.742 14.210 89.48 89.55 60.34
Element x y z (fractional)
Li1 0.328 0.770 0.948
Li2 0.908 0.328 0.941
Li3 0.236 0.667 0.552
Li4 0.769 0.333 0.438
Li5 0.668 0.232 0.061
Li6 0.674 0.087 0.560
Li7 0.013 0.949 0.014
Li8 0.056 0.989 0.484
V1 0.434 0.568 0.751
V2 0.565 0.435 0.250
V3 0.997 0.567 0.247
V4 0.004 0.436 0.749
V5 0.563 0.996 0.750
V6 0.433 0.003 0.253
P1 0.780 0.918 0.164
P2 0.919 0.778 0.660
P3 0.303 0.918 0.655
P4 0.668 0.662 0.868
P5 0.669 0.666 0.368
P6 0.313 0.779 0.161
P7 0.222 0.687 0.339
P8 0.913 0.312 0.153
P9 0.083 0.695 0.846
P10 0.775 0.317 0.660
P11 0.683 0.225 0.840
P12 0.336 0.337 0.632
P13 0.333 0.332 0.132
P14 0.689 0.087 0.347
P15 0.083 0.220 0.336
P16 0.220 0.083 0.840
O1 0.768 0.016 0.438
O2 0.746 0.915 0.660
O3 0.010 0.788 0.932
O4 0.915 0.743 0.165
O5 0.618 0.927 0.171
O6 0.671 0.805 0.823
O7 0.458 0.926 0.667
O8 0.207 0.994 0.922
O9 0.347 0.917 0.170
O10 0.815 0.666 0.319
O11 0.918 0.618 0.676
O12 0.524 0.814 0.322
O13 0.656 0.653 0.972
O14 0.673 0.666 0.472
O15 0.513 0.669 0.824
O16 0.913 0.468 0.170
O17 0.816 0.509 0.828
O18 0.344 0.741 0.664
O19 0.202 0.798 0.250
O20 0.208 0.773 0.428
O21 0.227 0.793 0.071
O22 0.468 0.621 0.172
O23 0.673 0.514 0.330
O24 0.260 0.657 0.837
O25 0.618 0.474 0.676
O26 0.915 0.348 0.666
O27 0.997 0.801 0.754
O28 0.013 0.778 0.577
O29 0.994 0.199 0.417
O30 0.083 0.653 0.330
O31 0.380 0.532 0.328
O32 0.741 0.341 0.162
O33 0.329 0.490 0.676
O34 0.526 0.382 0.824
O35 0.763 0.230 0.929
O36 0.772 0.236 0.571
O37 0.795 0.205 0.750
O38 0.659 0.259 0.338
O39 0.186 0.476 0.179
O40 0.078 0.539 0.832
O41 0.486 0.328 0.170
O42 0.331 0.329 0.028
O43 0.324 0.357 0.528
O44 0.488 0.189 0.668
O45 0.074 0.382 0.329
O46 0.190 0.335 0.682
O47 0.653 0.085 0.834
O48 0.804 0.991 0.261
O49 0.801 0.007 0.083
O50 0.532 0.087 0.330
O51 0.334 0.185 0.181
O52 0.376 0.084 0.827
O53 0.080 0.257 0.837
O54 0.984 0.232 0.062
O55 0.009 0.197 0.240
O56 0.258 0.085 0.335
O57 0.209 0.988 0.569
O58 0.196 0.004 0.746

Theoretical density (kg/m³): 2530
V (Å³ per cell): 1171.5
Symmetry: P1, No. 1
Spin magnetization (μB per cell): 2.0
E_form (eV per formula unit): -113.1

No. 8
The following is a PBE+U calculation of crystalline Li2Mn2Si4O11 at its relaxed geometry, from Materials Project.

Lattice parameters (Å, degrees): 8.919 7.589 7.047 104.56 100.98 99.49
Element x y z (fractional)
Li1 0.610 0.197 0.794
Li2 0.142 0.148 0.752
Li3 0.858 0.852 0.248
Li4 0.390 0.803 0.206
Mn1 0.882 0.388 0.624
Mn2 0.370 0.397 0.618
Mn3 0.630 0.603 0.382
Mn4 0.118 0.612 0.376
Si1 0.240 0.033 0.389
Si2 0.958 0.231 0.224
Si3 0.520 0.224 0.222
Si4 0.768 0.598 0.973
Si5 0.232 0.402 0.027
Si6 0.480 0.776 0.778
Si7 0.042 0.769 0.776
Si8 0.760 0.967 0.611
O1 0.816 0.151 0.622
O2 0.398 0.060 0.259
O3 0.323 0.152 0.594
O4 0.026 0.069 0.260
O5 0.710 0.182 0.152
O6 0.382 0.274 0.040
O7 0.678 0.438 0.812
O8 0.581 0.365 0.407
O9 0.185 0.415 0.811
O10 0.023 0.293 0.050
O11 0.060 0.369 0.412
O12 0.940 0.631 0.588
O13 0.977 0.707 0.950
O14 0.815 0.585 0.189
O15 0.419 0.635 0.593
O16 0.322 0.562 0.188
O17 0.618 0.726 0.960
O18 0.290 0.818 0.848
O19 0.974 0.931 0.740
O20 0.677 0.848 0.406
O21 0.602 0.940 0.741
O22 0.184 0.849 0.378

Theoretical density (kg/m³): 3098
V (Å³ per cell): 441.7
Symmetry: P-1, No. 2
Spin magnetization (μB per cell): 20.0
E_form (eV per formula unit): -39.1

No. 9
The following is a PBE+U calculation of crystalline Li2Si3Ni2O9 at its relaxed geometry, from Materials Project.

Lattice parameters (Å, degrees): 9.938 9.938 12.245 90.00 90.00 120.00
Element x y z (fractional)
Li1 0.476 0.642 0.183
Li2 0.636 0.492 0.013
Li3 0.508 0.144 0.680
Li4 0.358 0.834 0.850
Li5 0.856 0.364 0.347
Li6 0.500 0.695 0.683
Li7 0.679 0.998 0.761
Li8 0.166 0.524 0.517
Li9 0.195 0.500 0.016
Li10 0.002 0.680 0.428
Li11 0.320 0.321 0.094
Li12 0.305 0.805 0.350
Si1 0.472 0.623 0.918
Si2 0.625 0.481 0.757
Si3 0.508 0.174 0.905
Si4 0.666 0.492 0.239
Si5 0.377 0.849 0.585
Si6 0.519 0.145 0.424
Si7 0.504 0.672 0.436
Si8 0.826 0.334 0.572
Si9 0.855 0.375 0.091
Si10 0.952 0.155 0.445
Si11 0.803 0.851 0.572
Si12 0.151 0.528 0.252
Si13 0.167 0.496 0.770
Si14 0.048 0.197 0.906
Si15 0.845 0.796 0.111
Si16 0.204 0.048 0.778
Si17 0.149 0.952 0.239
Si18 0.328 0.833 0.103
Ni1 0.674 0.495 0.498
Ni2 0.505 0.180 0.165
Ni3 0.820 0.326 0.831
Ni4 0.676 0.996 0.237
Ni5 0.703 0.000 0.002
Ni6 0.823 0.828 0.840
Ni7 0.005 0.177 0.174
Ni8 0.320 0.324 0.571
Ni9 0.296 0.297 0.335
Ni10 0.000 0.704 0.668
Ni11 0.004 0.680 0.904
Ni12 0.172 0.995 0.507
O1 0.404 0.482 0.437
O2 0.431 0.544 0.037
O3 0.526 0.529 0.836
O4 0.480 0.366 0.232
O5 0.392 0.200 0.440
O6 0.351 0.044 0.840
O7 0.549 0.435 0.636
O8 0.476 0.240 0.016
O9 0.692 0.649 0.174
O10 0.598 0.318 0.814
O11 0.471 0.997 0.502
O12 0.765 0.524 0.349
O13 0.456 0.887 0.704
O14 0.565 0.114 0.302
O15 0.808 0.608 0.774
O16 0.720 0.402 0.148
O17 0.634 0.115 0.899
O18 0.518 0.922 0.104
O19 0.410 0.716 0.528
O20 0.682 0.280 0.481
O21 0.536 0.770 0.325
O22 0.760 0.235 0.683
O23 0.885 0.520 0.566
O24 0.886 0.451 0.969
O25 0.600 0.805 0.905
O26 0.800 0.192 0.107
O27 0.003 0.474 0.169
O28 0.956 0.308 0.507
O29 0.667 0.701 0.499
O30 0.078 0.596 0.771
O31 0.887 0.150 0.320
O32 0.733 0.840 0.693
O33 0.113 0.569 0.370
O34 0.820 0.003 0.510
O35 0.819 0.946 0.128
O36 0.879 0.043 0.893
O37 0.034 0.333 0.833
O38 0.850 0.737 0.987
O39 0.107 0.267 0.027
O40 0.235 0.464 0.659
O41 0.204 0.400 0.238
O42 0.957 0.835 0.560
O43 0.126 0.181 0.462
O44 0.307 0.590 0.861
O45 0.997 0.817 0.177
O46 0.183 0.180 0.843
O47 0.165 0.121 0.227
O48 0.054 0.874 0.795
O49 0.160 0.893 0.360
O50 0.263 0.113 0.654
O51 0.195 0.796 0.571
O52 0.299 0.966 0.166
O53 0.230 0.765 0.992
O54 0.284 0.693 0.195

Theoretical density (kg/m³): 3420
V (Å³ per cell): 1047.4
Symmetry: P3_2, No. 145
Spin magnetization (μB per cell): 24.0
E_form (eV per formula unit): -40.7